1.
## AgC4NCl2 (PBE-GGA)

Data for a relaxed structure of AgC4NCl2.

a b c (Å): 8.926 8.926 8.926
angles (deg): 132.97 130.55 70.63
Atoms (fractional coordinates):
N 0.860 0.860 0.000
N 0.140 0.140 0.000
C 0.166 0.987 0.821
C 0.651 0.746 0.905
C 0.834 0.013 0.179
C 0.834 0.656 0.821
C 0.159 0.254 0.905
C 0.349 0.254 0.095
C 0.166 0.344 0.179
C 0.841 0.746 0.095
Cl 0.732 0.500 0.232
Cl 0.379 0.879 0.500
Cl 0.268 0.500 0.768
Cl 0.621 0.121 0.500
Ag 0.500 0.752 0.252
Ag 0.500 0.248 0.748

## Properties
Space group = Immm, No. 71
Energy relative to the elements = 1.675 eV per atom
Energy with MP2020 corrections = -0.1763 Ha/atom

=====

2.
## AgC8S4N4Cl (PBE-GGA)

Data for a relaxed structure of AgC8S4N4Cl.

a b c (Å): 5.111 9.986 9.986
angles (deg): 86.24 75.17 75.17
Atoms (fractional coordinates):
C 0.258 0.194 0.678
C 0.571 0.310 0.060
C 0.369 0.060 0.690
C 0.941 0.690 0.940
C 0.064 0.678 0.806
C 0.119 0.940 0.310
C 0.130 0.806 0.322
C 0.548 0.322 0.194
Cl 0.250 0.500 0.500
N 0.559 0.314 0.313
N 0.127 0.687 0.314
N 0.128 0.313 0.686
N 0.186 0.686 0.687
Ag 0.000 0.000 0.000
S 0.077 0.086 0.239
S 0.684 0.239 0.914
S 0.837 0.761 0.086
S 0.402 0.914 0.761

## Properties
Space group = I-4, No. 82
Energy relative to the elements = 0.815 eV per atom
Energy with MP2020 corrections = -0.2322 Ha/atom
Energy above the lowest structure with this stoichiometry = 0 meV per atom

=====

3.
## AgC8S4N4Cl (PBE-GGA)

Data for a relaxed structure of AgC8S4N4Cl.

a b c (Å): 10.019 10.019 10.019
angles (deg): 94.41 94.41 147.79
Atoms (fractional coordinates):
C 0.474 0.284 0.330
C 0.568 0.902 0.061
C 0.098 0.160 0.666
C 0.840 0.506 0.939
C 0.494 0.432 0.334
C 0.856 0.526 0.810
C 0.716 0.046 0.190
C 0.954 0.144 0.670
N 0.818 0.121 0.686
N 0.879 0.565 0.697
N 0.435 0.132 0.314
N 0.868 0.182 0.303
S 0.412 0.735 0.908
S 0.265 0.173 0.677
S 0.496 0.588 0.323
S 0.827 0.504 0.092
Cl 0.750 0.250 0.500
Ag 0.000 0.000 0.000

## Properties
Space group = I-4, No. 82
Energy relative to the elements = 0.849 eV per atom
Energy with MP2020 corrections = -0.2309 Ha/atom
Energy above the lowest structure with this stoichiometry = 34 meV per atom

=====

4.
## AgC2S2N4Cl (PBE-GGA)

Data for a relaxed structure of AgC2S2N4Cl.

a b c (Å): 8.930 5.455 35.990
angles (deg): 85.79 90.00 90.00
Atoms (fractional coordinates):
S 0.906 0.641 0.132
S 0.336 0.871 0.279
S 0.664 0.129 0.721
S 0.418 0.948 0.874
S 0.594 0.641 0.632
S 0.386 0.161 0.593
S 0.614 0.839 0.407
S 0.406 0.359 0.368
S 0.114 0.161 0.093
S 0.582 0.052 0.126
S 0.164 0.871 0.779
S 0.082 0.948 0.374
S 0.886 0.839 0.907
S 0.836 0.129 0.221
S 0.918 0.052 0.626
S 0.094 0.359 0.868
C 0.876 0.848 0.246
C 0.596 0.526 0.358
C 0.376 0.152 0.254
C 0.500 0.149 0.909
C 0.843 0.620 0.974
C 0.624 0.848 0.746
C 0.904 0.526 0.858
C 0.000 0.851 0.591
C 0.124 0.152 0.754
C 0.500 0.851 0.091
C 0.157 0.380 0.026
C 0.096 0.474 0.142
C 0.343 0.380 0.526
C 0.000 0.149 0.409
C 0.657 0.620 0.474
C 0.404 0.474 0.642
Ag 0.168 0.841 0.897
Ag 0.668 0.159 0.603
Ag 0.832 0.159 0.103
Ag 0.209 0.171 0.320
Ag 0.291 0.171 0.820
Ag 0.332 0.841 0.397
Ag 0.709 0.829 0.180
Ag 0.791 0.829 0.680
N 0.953 0.018 0.439
N 0.167 0.291 0.130
N 0.001 0.382 0.399
N 0.547 0.018 0.939
N 0.157 0.381 0.992
N 0.624 0.599 0.441
N 0.343 0.381 0.492
N 0.924 0.344 0.839
N 0.953 0.842 0.278
N 0.185 0.324 0.772
N 0.499 0.382 0.899
N 0.999 0.618 0.601
N 0.833 0.709 0.870
N 0.376 0.401 0.559
N 0.047 0.982 0.561
N 0.453 0.982 0.061
N 0.685 0.676 0.728
N 0.657 0.619 0.508
N 0.876 0.599 0.941
N 0.576 0.344 0.339
N 0.333 0.291 0.630
N 0.424 0.656 0.661
N 0.453 0.158 0.222
N 0.315 0.324 0.272
N 0.076 0.656 0.161
N 0.547 0.842 0.778
N 0.047 0.158 0.722
N 0.815 0.676 0.228
N 0.667 0.709 0.370
N 0.843 0.619 0.008
N 0.124 0.401 0.059
N 0.501 0.618 0.101
Cl 0.184 0.460 0.466
Cl 0.316 0.460 0.966
Cl 0.551 0.557 0.802
Cl 0.449 0.443 0.198
Cl 0.949 0.557 0.302
Cl 0.816 0.540 0.534
Cl 0.051 0.443 0.698
Cl 0.684 0.540 0.034

## Properties
Space group = P2_1/c, No. 14
Energy relative to the elements = 0.765 eV per atom
Energy with MP2020 corrections = -0.2098 Ha/atom

=====

5.
## CoAg3C6N6 (PBE-GGA)

Data for a relaxed structure of CoAg3C6N6.

a b c (Å): 7.489 7.489 6.806
angles (deg): 90.00 90.00 120.00
Atoms (fractional coordinates):
C 0.000 0.201 0.163
C 0.201 0.201 0.837
C 0.799 0.000 0.837
C 0.799 0.799 0.163
C 0.201 0.000 0.163
C 0.000 0.799 0.837
Co 0.000 0.000 0.000
N 0.321 0.000 0.273
N 0.000 0.679 0.727
N 0.679 0.679 0.273
N 0.000 0.321 0.273
N 0.679 0.000 0.727
N 0.321 0.321 0.727
Ag 0.500 0.000 0.500
Ag 0.500 0.500 0.500
Ag 0.000 0.500 0.500

## Properties
Space group = P-31m, No. 162
Energy relative to the elements = 0.234 eV per atom
Energy with MP2020 corrections = -0.2693 Ha/atom

=====

6.
## CsZnAgC4S4N4 (PBE-GGA)

Data for a relaxed structure of CsZnAgC4S4N4.

a b c (Å): 16.877 9.150 12.016
angles (deg): 49.36 90.00 90.00
Atoms (fractional coordinates):
C 0.124 0.755 0.383
C 0.680 0.818 0.970
C 0.418 0.507 0.243
C 0.320 0.182 0.030
C 0.410 0.796 0.520
C 0.820 0.818 0.470
C 0.376 0.755 0.883
C 0.918 0.493 0.257
C 0.624 0.245 0.117
C 0.582 0.493 0.757
C 0.180 0.182 0.530
C 0.090 0.796 0.020
C 0.876 0.245 0.617
C 0.082 0.507 0.743
C 0.590 0.204 0.480
C 0.910 0.204 0.980
N 0.574 0.617 0.761
N 0.438 0.930 0.408
N 0.926 0.617 0.261
N 0.426 0.383 0.239
N 0.132 0.208 0.587
N 0.445 0.779 0.859
N 0.632 0.792 0.913
N 0.062 0.930 0.908
N 0.868 0.792 0.413
N 0.074 0.383 0.739
N 0.368 0.208 0.087
N 0.938 0.070 0.092
N 0.555 0.221 0.141
N 0.055 0.779 0.359
N 0.562 0.070 0.592
N 0.945 0.221 0.641
Cs 0.125 0.247 0.145
Cs 0.625 0.753 0.355
Cs 0.875 0.753 0.855
Cs 0.375 0.247 0.645
Zn 0.052 0.196 0.713
Zn 0.552 0.804 0.787
Zn 0.948 0.804 0.287
Zn 0.448 0.196 0.213
S 0.781 0.265 0.588
S 0.219 0.735 0.412
S 0.372 0.610 0.676
S 0.248 0.149 0.451
S 0.281 0.735 0.912
S 0.094 0.676 0.752
S 0.752 0.851 0.549
S 0.594 0.324 0.748
S 0.906 0.324 0.248
S 0.628 0.390 0.324
S 0.872 0.390 0.824
S 0.406 0.676 0.252
S 0.128 0.610 0.176
S 0.719 0.265 0.088
S 0.748 0.851 0.049
S 0.252 0.149 0.951
Ag 0.760 0.237 0.341
Ag 0.260 0.763 0.159
Ag 0.240 0.763 0.659
Ag 0.740 0.237 0.841

## Properties
Space group = P2_1/c, No. 14
Energy relative to the elements = -0.305 eV per atom
Energy with MP2020 corrections = -0.2361 Ha/atom

=====

7.
## KCuAg2C4N4 (PBE-GGA)

Data for a relaxed structure of KCuAg2C4N4.

a b c (Å): 7.930 7.574 7.650
angles (deg): 90.00 102.22 90.00
Atoms (fractional coordinates):
N 0.661 0.610 0.436
N 0.340 0.123 0.865
N 0.339 0.610 0.064
N 0.660 0.877 0.135
N 0.339 0.390 0.564
N 0.660 0.123 0.635
N 0.661 0.390 0.936
N 0.340 0.877 0.365
C 0.216 0.583 0.951
C 0.782 0.075 0.584
C 0.218 0.075 0.916
C 0.218 0.925 0.416
C 0.784 0.583 0.549
C 0.784 0.417 0.049
C 0.782 0.925 0.084
C 0.216 0.417 0.451
Cu 0.500 0.744 0.250
Cu 0.500 0.256 0.750
K 0.500 0.752 0.750
K 0.500 0.248 0.250
Ag 0.000 0.433 0.250
Ag 0.000 0.000 0.000
Ag 0.000 0.567 0.750
Ag 0.000 0.000 0.500

## Properties
Space group = P2/c, No. 13
Energy relative to the elements = 0.076 eV per atom
Energy with MP2020 corrections = -0.2457 Ha/atom

=====

8.
## DyAgH2C2SO9 (PBE-GGA)

Data for a relaxed structure of DyAgH2C2SO9.

a b c (Å): 7.737 7.737 9.087
angles (deg): 65.99 65.99 53.44
Atoms (fractional coordinates):
O 0.118 0.118 0.027
O 0.218 0.600 0.582
O 0.600 0.218 0.582
O 0.335 0.335 0.891
O 0.943 0.943 0.217
O 0.448 0.448 0.248
O 0.552 0.552 0.752
O 0.739 0.739 0.533
O 0.261 0.261 0.467
O 0.866 0.520 0.790
O 0.480 0.134 0.210
O 0.665 0.665 0.109
O 0.782 0.400 0.418
O 0.520 0.866 0.790
O 0.400 0.782 0.418
O 0.882 0.882 0.973
O 0.057 0.057 0.783
O 0.134 0.480 0.210
C 0.017 0.017 0.070
C 0.391 0.609 0.500
C 0.983 0.983 0.930
C 0.609 0.391 0.500
H 0.301 0.301 0.011
H 0.585 0.585 0.146
H 0.415 0.415 0.854
H 0.699 0.699 0.989
S 0.334 0.334 0.284
S 0.666 0.666 0.716
Dy 0.243 0.243 0.732
Dy 0.757 0.757 0.268
Ag 0.087 0.087 0.331
Ag 0.913 0.913 0.669

## Properties
Space group = C2/m, No. 12
Energy relative to the elements = -1.925 eV per atom
Energy with MP2020 corrections = -0.2576 Ha/atom